DFT (GGA+U) results for a relaxed CaLaFeSbO6 crystal.

a b c (Å): 7.974 8.071 8.102
angles (deg): 89.78 89.63 91.11
Atoms (fractional coordinates):
O 0.817 0.787 0.762
O 0.182 0.221 0.238
O 0.201 0.011 0.949
O 0.496 0.791 0.549
O 0.007 0.298 0.947
O 0.790 0.992 0.051
O 0.285 0.818 0.262
O 0.506 0.792 0.945
O 0.295 0.491 0.050
O 0.718 0.181 0.738
O 0.993 0.290 0.553
O 0.295 0.509 0.444
O 0.220 0.682 0.737
O 0.507 0.204 0.447
O 0.318 0.285 0.762
O 0.993 0.706 0.055
O 0.491 0.200 0.054
O 0.005 0.704 0.450
O 0.203 0.989 0.556
O 0.788 0.319 0.263
O 0.706 0.510 0.948
O 0.703 0.486 0.559
O 0.684 0.719 0.237
O 0.794 0.010 0.442
Fe 0.749 0.749 0.500
Fe 0.250 0.250 0.502
Fe 0.750 0.250 0.002
Fe 0.250 0.749 0.000
Sb 0.749 0.751 0.999
Sb 0.249 0.251 0.999
Sb 0.251 0.749 0.499
Sb 0.751 0.248 0.500
La 0.520 0.469 0.247
La 0.467 0.016 0.749
La 0.017 0.973 0.247
La 0.968 0.516 0.747
Ca 0.535 0.982 0.253
Ca 0.482 0.532 0.753
Ca 0.979 0.034 0.754
Ca 0.037 0.483 0.251

Properties
Calculated volume, Å³/cell: 521.3
Spin magnetization, μB/f.u.: 0.00
SG: P1
Total energy, eV per atom: -7.0030